Entry 1:
## MnBPH2O6 (PBE with a Hubbard U)

Data for MnBPH2O6 after structural relaxation.

Unit cell a=7.697 b=7.697 c=12.968 alpha=90.00 beta=90.00 gamma=120.00
Positions (direct):
Mn (0.000, 0.746, 0.333)
Mn (0.000, 0.877, 0.833)
Mn (0.123, 0.123, 0.500)
Mn (0.254, 0.254, 0.000)
Mn (0.746, 0.000, 0.667)
Mn (0.877, 0.000, 0.167)
B (0.242, 0.687, 0.706)
B (0.313, 0.555, 0.373)
B (0.445, 0.758, 0.039)
B (0.555, 0.313, 0.627)
B (0.687, 0.242, 0.294)
B (0.758, 0.445, 0.961)
P (0.081, 0.750, 0.068)
P (0.250, 0.330, 0.735)
P (0.330, 0.250, 0.265)
P (0.670, 0.919, 0.401)
P (0.750, 0.081, 0.932)
P (0.919, 0.670, 0.599)
H (0.047, 0.419, 0.452)
H (0.282, 0.687, 0.239)
H (0.313, 0.595, 0.906)
H (0.371, 0.953, 0.785)
H (0.405, 0.718, 0.572)
H (0.419, 0.047, 0.548)
H (0.581, 0.629, 0.119)
H (0.595, 0.313, 0.094)
H (0.629, 0.581, 0.881)
H (0.687, 0.282, 0.761)
H (0.718, 0.405, 0.428)
H (0.953, 0.371, 0.215)
O (0.018, 0.791, 0.500)
O (0.053, 0.591, 0.647)
O (0.084, 0.208, 0.656)
O (0.124, 0.916, 0.990)
O (0.170, 0.413, 0.447)
O (0.208, 0.084, 0.344)
O (0.209, 0.227, 0.166)
O (0.212, 0.631, 0.305)
O (0.227, 0.209, 0.834)
O (0.243, 0.830, 0.780)
O (0.244, 0.523, 0.769)
O (0.278, 0.756, 0.102)
O (0.369, 0.581, 0.972)
O (0.409, 0.462, 0.313)
O (0.413, 0.170, 0.553)
O (0.419, 0.788, 0.638)
O (0.462, 0.409, 0.687)
O (0.477, 0.722, 0.436)
O (0.523, 0.244, 0.231)
O (0.538, 0.947, 0.980)
O (0.581, 0.369, 0.028)
O (0.587, 0.757, 0.114)
O (0.591, 0.053, 0.353)
O (0.631, 0.212, 0.695)
O (0.722, 0.477, 0.564)
O (0.756, 0.278, 0.898)
O (0.757, 0.587, 0.886)
O (0.773, 0.982, 0.833)
O (0.788, 0.419, 0.362)
O (0.791, 0.018, 0.500)
O (0.792, 0.876, 0.323)
O (0.830, 0.243, 0.220)
O (0.876, 0.792, 0.677)
O (0.916, 0.124, 0.010)
O (0.947, 0.538, 0.020)
O (0.982, 0.773, 0.167)

Energy with MP2020 corrections = -7.537 eV/atom
DFT total energy = -7.01 eV per atom
Theoretical density = 2.92 g cm⁻³
Volume = 10.1 A^3/atom
SG = P3_221
Formation energy = -2.29 eV per atom



Entry 2:
## Mn4Si4SnB2H2O18 (PBE with a Hubbard U)

Data for Mn4Si4SnB2H2O18 after structural relaxation.

Unit cell a=7.052 b=7.462 c=7.775 alpha=89.97 beta=63.04 gamma=76.89
Positions (direct):
Mn (0.190, 0.223, 0.265)
Mn (0.306, 0.789, 0.736)
Mn (0.694, 0.211, 0.264)
Mn (0.810, 0.777, 0.735)
Si (0.075, 0.826, 0.241)
Si (0.469, 0.177, 0.776)
Si (0.531, 0.823, 0.224)
Si (0.925, 0.174, 0.759)
Sn (0.000, 0.500, 0.000)
B (0.251, 0.376, 0.570)
B (0.749, 0.624, 0.430)
H (0.329, 0.546, 0.340)
H (0.671, 0.454, 0.660)
O (0.014, 0.951, 0.736)
O (0.091, 0.270, 0.579)
O (0.123, 0.720, 0.035)
O (0.143, 0.544, 0.709)
O (0.274, 0.305, 0.978)
O (0.301, 0.770, 0.264)
O (0.354, 0.414, 0.362)
O (0.435, 0.251, 0.590)
O (0.491, 0.958, 0.790)
O (0.509, 0.042, 0.210)
O (0.565, 0.749, 0.410)
O (0.646, 0.586, 0.638)
O (0.699, 0.230, 0.736)
O (0.726, 0.695, 0.022)
O (0.857, 0.456, 0.291)
O (0.877, 0.280, 0.965)
O (0.909, 0.730, 0.421)
O (0.986, 0.049, 0.264)

Energy with MP2020 corrections = -8.146 eV/atom
DFT total energy = -7.53 eV per atom
Theoretical density = 3.59 g cm⁻³
Volume = 11.4 A^3/atom
SG = P-1
Formation energy = -2.61 eV per atom



Entry 3:
## VBP2H5NO9 (PBE with a Hubbard U)

Data for VBP2H5NO9 after structural relaxation.

Unit cell a=9.541 b=8.438 c=9.801 alpha=90.00 beta=103.43 gamma=90.00
Positions (direct):
V (0.210, 0.154, 0.437)
V (0.210, 0.346, 0.937)
V (0.790, 0.654, 0.063)
V (0.790, 0.846, 0.563)
B (0.334, 0.562, 0.192)
B (0.334, 0.938, 0.692)
B (0.666, 0.062, 0.308)
B (0.666, 0.438, 0.808)
P (0.077, 0.060, 0.707)
P (0.077, 0.440, 0.207)
P (0.421, 0.245, 0.223)
P (0.421, 0.255, 0.723)
P (0.579, 0.745, 0.277)
P (0.579, 0.755, 0.777)
P (0.923, 0.560, 0.793)
P (0.923, 0.940, 0.293)
H (0.109, 0.683, 0.526)
H (0.109, 0.817, 0.026)
H (0.143, 0.544, 0.653)
H (0.143, 0.956, 0.153)
H (0.170, 0.502, 0.491)
H (0.170, 0.998, 0.991)
H (0.280, 0.631, 0.601)
H (0.280, 0.869, 0.101)
H (0.393, 0.583, 0.000)
H (0.393, 0.917, 0.500)
H (0.607, 0.083, 0.500)
H (0.607, 0.417, 0.000)
H (0.720, 0.131, 0.899)
H (0.720, 0.369, 0.399)
H (0.830, 0.002, 0.009)
H (0.830, 0.498, 0.509)
H (0.857, 0.044, 0.847)
H (0.857, 0.456, 0.347)
H (0.891, 0.183, 0.974)
H (0.891, 0.317, 0.474)
N (0.176, 0.590, 0.567)
N (0.176, 0.910, 0.067)
N (0.824, 0.090, 0.933)
N (0.824, 0.410, 0.433)
O (0.071, 0.018, 0.302)
O (0.071, 0.482, 0.802)
O (0.083, 0.164, 0.579)
O (0.083, 0.336, 0.079)
O (0.112, 0.150, 0.848)
O (0.112, 0.350, 0.348)
O (0.191, 0.579, 0.221)
O (0.191, 0.921, 0.721)
O (0.311, 0.548, 0.036)
O (0.311, 0.952, 0.536)
O (0.347, 0.136, 0.309)
O (0.347, 0.364, 0.809)
O (0.363, 0.222, 0.065)
O (0.363, 0.278, 0.565)
O (0.412, 0.710, 0.238)
O (0.412, 0.790, 0.738)
O (0.414, 0.076, 0.765)
O (0.414, 0.424, 0.265)
O (0.586, 0.576, 0.735)
O (0.586, 0.924, 0.235)
O (0.588, 0.210, 0.262)
O (0.588, 0.290, 0.762)
O (0.637, 0.722, 0.435)
O (0.637, 0.778, 0.935)
O (0.653, 0.636, 0.191)
O (0.653, 0.864, 0.691)
O (0.689, 0.048, 0.464)
O (0.689, 0.452, 0.964)
O (0.809, 0.079, 0.279)
O (0.809, 0.421, 0.779)
O (0.888, 0.650, 0.652)
O (0.888, 0.850, 0.152)
O (0.917, 0.664, 0.921)
O (0.917, 0.836, 0.421)
O (0.929, 0.518, 0.198)
O (0.929, 0.982, 0.698)

Energy with MP2020 corrections = -7.127 eV/atom
DFT total energy = -6.71 eV per atom
Theoretical density = 2.48 g cm⁻³
Volume = 10.1 A^3/atom
SG = P2_1/c
Formation energy = -2.05 eV per atom



Entry 4:
## NaVBP2H3O10 (PBE with a Hubbard U)

Data for NaVBP2H3O10 after structural relaxation.

Unit cell a=6.730 b=6.730 c=9.281 alpha=110.00 beta=110.00 gamma=77.19
Positions (direct):
Na (0.130, 0.870, 0.750)
Na (0.870, 0.130, 0.250)
V (0.000, 0.500, 0.000)
V (0.500, 0.000, 0.500)
B (0.472, 0.528, 0.250)
B (0.528, 0.472, 0.750)
P (0.155, 0.292, 0.677)
P (0.292, 0.155, 0.177)
P (0.708, 0.845, 0.823)
P (0.845, 0.708, 0.323)
H (0.000, 0.500, 0.500)
H (0.313, 0.660, 0.424)
H (0.340, 0.687, 0.076)
H (0.500, 0.000, 0.000)
H (0.660, 0.313, 0.924)
H (0.687, 0.340, 0.576)
O (0.033, 0.638, 0.458)
O (0.071, 0.270, 0.112)
O (0.071, 0.279, 0.807)
O (0.270, 0.071, 0.612)
O (0.279, 0.071, 0.307)
O (0.310, 0.468, 0.750)
O (0.315, 0.567, 0.102)
O (0.362, 0.967, 0.042)
O (0.433, 0.685, 0.398)
O (0.468, 0.310, 0.250)
O (0.532, 0.690, 0.750)
O (0.567, 0.315, 0.602)
O (0.638, 0.033, 0.958)
O (0.685, 0.433, 0.898)
O (0.690, 0.532, 0.250)
O (0.721, 0.929, 0.693)
O (0.730, 0.929, 0.388)
O (0.929, 0.721, 0.193)
O (0.929, 0.730, 0.888)
O (0.967, 0.362, 0.542)

Energy with MP2020 corrections = -7.244 eV/atom
DFT total energy = -6.77 eV per atom
Theoretical density = 2.79 g cm⁻³
Volume = 10.2 A^3/atom
SG = C2/c
Formation energy = -2.38 eV per atom



Entry 5:
## NiB10H26O8 (PBE with a Hubbard U)

Data for NiB10H26O8 after structural relaxation.

Unit cell a=7.317 b=7.317 c=18.707 alpha=103.34 beta=103.34 gamma=55.05
Positions (direct):
Ni (0.000, 0.500, 0.000)
Ni (0.500, 0.000, 0.500)
B (0.004, 0.201, 0.236)
B (0.028, 0.036, 0.799)
B (0.036, 0.028, 0.299)
B (0.155, 0.810, 0.846)
B (0.160, 0.665, 0.687)
B (0.190, 0.845, 0.654)
B (0.201, 0.004, 0.736)
B (0.304, 0.603, 0.779)
B (0.335, 0.840, 0.813)
B (0.397, 0.696, 0.721)
B (0.603, 0.304, 0.279)
B (0.665, 0.160, 0.187)
B (0.696, 0.397, 0.221)
B (0.799, 0.996, 0.264)
B (0.810, 0.155, 0.346)
B (0.840, 0.335, 0.313)
B (0.845, 0.190, 0.154)
B (0.964, 0.972, 0.701)
B (0.972, 0.964, 0.201)
B (0.996, 0.799, 0.764)
H (0.034, 0.376, 0.854)
H (0.052, 0.234, 0.529)
H (0.071, 0.163, 0.443)
H (0.078, 0.573, 0.875)
H (0.099, 0.776, 0.173)
H (0.110, 0.681, 0.368)
H (0.143, 0.521, 0.645)
H (0.144, 0.799, 0.908)
H (0.157, 0.222, 0.237)
H (0.163, 0.071, 0.943)
H (0.201, 0.856, 0.592)
H (0.222, 0.157, 0.737)
H (0.224, 0.901, 0.327)
H (0.234, 0.052, 0.029)
H (0.244, 0.476, 0.415)
H (0.310, 0.610, 0.056)
H (0.319, 0.890, 0.132)
H (0.376, 0.034, 0.354)
H (0.376, 0.399, 0.581)
H (0.390, 0.690, 0.444)
H (0.399, 0.376, 0.081)
H (0.410, 0.420, 0.290)
H (0.420, 0.410, 0.790)
H (0.427, 0.922, 0.625)
H (0.476, 0.244, 0.915)
H (0.479, 0.857, 0.855)
H (0.521, 0.143, 0.145)
H (0.524, 0.756, 0.085)
H (0.573, 0.078, 0.375)
H (0.580, 0.590, 0.210)
H (0.590, 0.580, 0.710)
H (0.601, 0.624, 0.919)
H (0.610, 0.310, 0.556)
H (0.624, 0.601, 0.419)
H (0.624, 0.966, 0.646)
H (0.681, 0.110, 0.868)
H (0.690, 0.390, 0.944)
H (0.756, 0.524, 0.585)
H (0.766, 0.948, 0.971)
H (0.776, 0.099, 0.673)
H (0.778, 0.843, 0.263)
H (0.799, 0.144, 0.408)
H (0.837, 0.929, 0.057)
H (0.843, 0.778, 0.763)
H (0.856, 0.201, 0.092)
H (0.857, 0.479, 0.355)
H (0.890, 0.319, 0.632)
H (0.901, 0.224, 0.827)
H (0.922, 0.427, 0.125)
H (0.929, 0.837, 0.557)
H (0.948, 0.766, 0.471)
H (0.966, 0.624, 0.146)
O (0.090, 0.451, 0.895)
O (0.156, 0.171, 0.491)
O (0.170, 0.640, 0.419)
O (0.171, 0.156, 0.991)
O (0.300, 0.475, 0.043)
O (0.360, 0.830, 0.081)
O (0.451, 0.090, 0.395)
O (0.475, 0.300, 0.543)
O (0.525, 0.700, 0.457)
O (0.549, 0.910, 0.605)
O (0.640, 0.170, 0.919)
O (0.700, 0.525, 0.957)
O (0.829, 0.844, 0.009)
O (0.830, 0.360, 0.581)
O (0.844, 0.829, 0.509)
O (0.910, 0.549, 0.105)

Energy with MP2020 corrections = -5.142 eV/atom
DFT total energy = -4.96 eV per atom
Theoretical density = 1.35 g cm⁻³
Volume = 8.8 A^3/atom
SG = C2/c
Formation energy = -0.69 eV per atom



Entry 6:
## NiB12H36O12 (PBE with a Hubbard U)

Data for NiB12H36O12 after structural relaxation.

Unit cell a=13.627 b=13.627 c=13.627 alpha=60.00 beta=60.00 gamma=60.00
Positions (direct):
Ni (0.000, 0.000, 0.000)
Ni (0.250, 0.250, 0.250)
B (0.379, 0.471, 0.529)
B (0.379, 0.529, 0.621)
B (0.379, 0.621, 0.471)
B (0.471, 0.379, 0.621)
B (0.471, 0.529, 0.379)
B (0.471, 0.621, 0.529)
B (0.529, 0.379, 0.471)
B (0.529, 0.471, 0.621)
B (0.529, 0.621, 0.379)
B (0.621, 0.379, 0.529)
B (0.621, 0.471, 0.379)
B (0.621, 0.529, 0.471)
B (0.629, 0.721, 0.871)
B (0.629, 0.779, 0.721)
B (0.629, 0.871, 0.779)
B (0.721, 0.629, 0.779)
B (0.721, 0.779, 0.871)
B (0.721, 0.871, 0.629)
B (0.779, 0.629, 0.871)
B (0.779, 0.721, 0.629)
B (0.779, 0.871, 0.721)
B (0.871, 0.629, 0.721)
B (0.871, 0.721, 0.779)
B (0.871, 0.779, 0.629)
H (0.062, 0.154, 0.426)
H (0.062, 0.358, 0.154)
H (0.062, 0.426, 0.358)
H (0.091, 0.378, 0.635)
H (0.091, 0.635, 0.896)
H (0.091, 0.896, 0.378)
H (0.096, 0.188, 0.824)
H (0.096, 0.824, 0.892)
H (0.096, 0.892, 0.188)
H (0.154, 0.062, 0.358)
H (0.154, 0.358, 0.426)
H (0.154, 0.426, 0.062)
H (0.159, 0.354, 0.615)
H (0.159, 0.615, 0.872)
H (0.159, 0.872, 0.354)
H (0.188, 0.096, 0.892)
H (0.188, 0.824, 0.096)
H (0.188, 0.892, 0.824)
H (0.296, 0.448, 0.548)
H (0.296, 0.548, 0.709)
H (0.296, 0.709, 0.448)
H (0.354, 0.159, 0.872)
H (0.354, 0.615, 0.159)
H (0.354, 0.872, 0.615)
H (0.358, 0.062, 0.426)
H (0.358, 0.154, 0.062)
H (0.358, 0.426, 0.154)
H (0.378, 0.091, 0.896)
H (0.378, 0.635, 0.091)
H (0.378, 0.896, 0.635)
H (0.426, 0.062, 0.154)
H (0.426, 0.154, 0.358)
H (0.426, 0.358, 0.062)
H (0.448, 0.296, 0.709)
H (0.448, 0.548, 0.296)
H (0.448, 0.709, 0.548)
H (0.541, 0.702, 0.954)
H (0.541, 0.802, 0.702)
H (0.541, 0.954, 0.802)
H (0.548, 0.296, 0.448)
H (0.548, 0.448, 0.709)
H (0.548, 0.709, 0.296)
H (0.615, 0.159, 0.354)
H (0.615, 0.354, 0.872)
H (0.615, 0.872, 0.159)
H (0.635, 0.091, 0.378)
H (0.635, 0.378, 0.896)
H (0.635, 0.896, 0.091)
H (0.702, 0.541, 0.802)
H (0.702, 0.802, 0.954)
H (0.702, 0.954, 0.541)
H (0.709, 0.296, 0.548)
H (0.709, 0.448, 0.296)
H (0.709, 0.548, 0.448)
H (0.802, 0.541, 0.954)
H (0.802, 0.702, 0.541)
H (0.802, 0.954, 0.702)
H (0.824, 0.096, 0.188)
H (0.824, 0.188, 0.892)
H (0.824, 0.892, 0.096)
H (0.872, 0.159, 0.615)
H (0.872, 0.354, 0.159)
H (0.872, 0.615, 0.354)
H (0.892, 0.096, 0.824)
H (0.892, 0.188, 0.096)
H (0.892, 0.824, 0.188)
H (0.896, 0.091, 0.635)
H (0.896, 0.378, 0.091)
H (0.896, 0.635, 0.378)
H (0.954, 0.541, 0.702)
H (0.954, 0.702, 0.802)
H (0.954, 0.802, 0.541)
O (0.112, 0.112, 0.888)
O (0.112, 0.888, 0.112)
O (0.112, 0.888, 0.888)
O (0.125, 0.564, 0.686)
O (0.125, 0.625, 0.564)
O (0.125, 0.686, 0.625)
O (0.138, 0.138, 0.362)
O (0.138, 0.362, 0.138)
O (0.138, 0.362, 0.362)
O (0.362, 0.138, 0.138)
O (0.362, 0.138, 0.362)
O (0.362, 0.362, 0.138)
O (0.564, 0.125, 0.625)
O (0.564, 0.625, 0.686)
O (0.564, 0.686, 0.125)
O (0.625, 0.125, 0.686)
O (0.625, 0.564, 0.125)
O (0.625, 0.686, 0.564)
O (0.686, 0.125, 0.564)
O (0.686, 0.564, 0.625)
O (0.686, 0.625, 0.125)
O (0.888, 0.112, 0.112)
O (0.888, 0.112, 0.888)
O (0.888, 0.888, 0.112)

Energy with MP2020 corrections = -4.687 eV/atom
DFT total energy = -4.51 eV per atom
Theoretical density = 0.77 g cm⁻³
Volume = 14.7 A^3/atom
SG = F4_132
Formation energy = -0.30 eV per atom